Entry i
KBaCr2P3O12: relaxed, GGA+U.

The structure in POSCAR format:
```
KBaCr2P3O12
1.0
9.942 0.000 0.000
0.000 9.945 0.000
-0.025 0.000 19.890
K Ba Cr P O
8 8 16 24 96
direct
0.066 0.000 0.158
0.066 0.001 0.658
0.201 0.638 0.023
0.433 0.867 0.408
0.567 0.367 0.592
0.799 0.138 0.977
0.934 0.500 0.842
0.934 0.501 0.342
0.205 0.639 0.522
0.293 0.229 0.273
0.293 0.231 0.773
0.431 0.866 0.910
0.569 0.366 0.090
0.707 0.729 0.727
0.707 0.731 0.227
0.795 0.139 0.478
0.085 0.848 0.832
0.086 0.847 0.331
0.145 0.287 0.949
0.147 0.287 0.449
0.350 0.583 0.198
0.353 0.581 0.699
0.411 0.020 0.082
0.413 0.021 0.581
0.587 0.521 0.419
0.589 0.520 0.918
0.647 0.081 0.301
0.650 0.083 0.802
0.853 0.787 0.551
0.855 0.787 0.051
0.914 0.347 0.669
0.915 0.348 0.168
0.040 0.660 0.689
0.041 0.660 0.188
0.126 0.975 0.988
0.128 0.974 0.488
0.225 0.307 0.104
0.226 0.307 0.605
0.273 0.561 0.855
0.274 0.562 0.355
0.372 0.894 0.238
0.372 0.894 0.737
0.460 0.208 0.439
0.460 0.209 0.938
0.540 0.708 0.561
0.540 0.709 0.062
0.628 0.394 0.263
0.628 0.394 0.762
0.726 0.062 0.645
0.727 0.061 0.145
0.774 0.807 0.395
0.775 0.807 0.896
0.872 0.474 0.512
0.874 0.475 0.012
0.959 0.160 0.812
0.960 0.160 0.311
0.005 0.512 0.201
0.006 0.512 0.701
0.013 0.736 0.255
0.013 0.736 0.755
0.023 0.882 0.523
0.023 0.883 0.023
0.052 0.229 0.363
0.054 0.230 0.863
0.076 0.122 0.495
0.078 0.122 0.995
0.078 0.282 0.123
0.078 0.282 0.622
0.152 0.939 0.414
0.154 0.939 0.914
0.188 0.674 0.663
0.188 0.675 0.164
0.198 0.694 0.368
0.201 0.696 0.867
0.205 0.455 0.900
0.205 0.457 0.401
0.240 0.358 0.531
0.240 0.921 0.276
0.241 0.921 0.777
0.242 0.356 0.031
0.260 0.510 0.281
0.260 0.511 0.781
0.260 0.947 0.526
0.262 0.948 0.025
0.295 0.411 0.651
0.298 0.409 0.151
0.302 0.174 0.618
0.304 0.175 0.119
0.312 0.194 0.413
0.313 0.194 0.913
0.348 0.929 0.164
0.348 0.929 0.664
0.422 0.586 0.372
0.423 0.588 0.872
0.424 0.746 0.245
0.424 0.747 0.745
0.448 0.639 0.613
0.451 0.637 0.114
0.477 0.986 0.773
0.477 0.987 0.273
0.485 0.133 0.005
0.487 0.132 0.505
0.495 0.356 0.451
0.495 0.357 0.952
0.505 0.856 0.549
0.505 0.857 0.048
0.513 0.632 0.495
0.515 0.633 0.995
0.523 0.486 0.227
0.523 0.487 0.727
0.549 0.137 0.886
0.552 0.139 0.387
0.576 0.246 0.755
0.576 0.247 0.255
0.577 0.088 0.128
0.578 0.086 0.628
0.652 0.429 0.336
0.652 0.429 0.836
0.687 0.694 0.087
0.688 0.694 0.587
0.696 0.675 0.881
0.698 0.674 0.382
0.702 0.909 0.849
0.705 0.911 0.349
0.738 0.448 0.975
0.740 0.010 0.719
0.740 0.011 0.219
0.740 0.447 0.474
0.758 0.856 0.969
0.759 0.421 0.223
0.760 0.421 0.724
0.760 0.858 0.469
0.795 0.955 0.100
0.795 0.957 0.599
0.799 0.196 0.133
0.802 0.194 0.632
0.812 0.174 0.337
0.812 0.175 0.836
0.846 0.439 0.086
0.848 0.439 0.586
0.922 0.622 0.005
0.922 0.782 0.378
0.922 0.782 0.877
0.924 0.622 0.505
0.946 0.730 0.137
0.948 0.729 0.637
0.977 0.382 0.477
0.977 0.383 0.977
0.987 0.236 0.245
0.987 0.236 0.745
0.994 0.012 0.299
0.995 0.012 0.799
```

Output
The volume comes out at 1966.5 Å³ per cell.

---

Entry ii
KBaCr2P3O12: relaxed, GGA+U.

The structure in POSCAR format:
```
KBaCr2P3O12
1.0
9.961 0.000 0.000
0.000 9.961 0.000
0.000 0.000 9.961
K Ba Cr P O
4 4 8 12 48
direct
0.203 0.297 0.703
0.297 0.703 0.203
0.703 0.203 0.297
0.797 0.797 0.797
0.068 0.932 0.432
0.432 0.068 0.932
0.568 0.568 0.568
0.932 0.432 0.068
0.087 0.087 0.087
0.148 0.648 0.852
0.352 0.352 0.352
0.413 0.913 0.587
0.587 0.413 0.913
0.648 0.852 0.148
0.852 0.148 0.648
0.913 0.587 0.413
0.040 0.274 0.374
0.126 0.960 0.774
0.226 0.626 0.540
0.274 0.374 0.040
0.374 0.040 0.274
0.460 0.726 0.874
0.540 0.226 0.626
0.626 0.540 0.226
0.726 0.874 0.460
0.774 0.126 0.960
0.874 0.460 0.726
0.960 0.774 0.126
0.005 0.423 0.346
0.014 0.199 0.239
0.023 0.051 0.703
0.051 0.703 0.023
0.077 0.654 0.505
0.078 0.812 0.758
0.154 0.995 0.923
0.188 0.258 0.422
0.199 0.239 0.014
0.203 0.477 0.949
0.239 0.014 0.199
0.242 0.578 0.688
0.258 0.422 0.188
0.261 0.986 0.699
0.297 0.523 0.449
0.301 0.761 0.514
0.312 0.742 0.922
0.346 0.005 0.423
0.422 0.188 0.258
0.423 0.346 0.005
0.449 0.297 0.523
0.477 0.949 0.203
0.486 0.801 0.739
0.495 0.577 0.846
0.505 0.077 0.654
0.514 0.301 0.761
0.523 0.449 0.297
0.551 0.797 0.977
0.577 0.846 0.495
0.578 0.688 0.242
0.654 0.505 0.077
0.688 0.242 0.578
0.699 0.261 0.986
0.703 0.023 0.051
0.739 0.486 0.801
0.742 0.922 0.312
0.758 0.078 0.812
0.761 0.514 0.301
0.797 0.977 0.551
0.801 0.739 0.486
0.812 0.758 0.078
0.846 0.495 0.577
0.922 0.312 0.742
0.923 0.154 0.995
0.949 0.203 0.477
0.977 0.551 0.797
0.986 0.699 0.261
0.995 0.923 0.154
```

Output
The volume comes out at 988.3 Å³ per cell.

---

Name the most stable of them. entry ii.

---

Entry i
Ba2MgCrMoO6: relaxed, GGA+U.

The structure in POSCAR format:
```
Ba2MgCrMoO6
1.0
-2.896 2.945 4.634
2.896 -2.945 4.634
2.896 2.945 -4.634
Ba Mg Cr Mo O
2 1 1 1 6
direct
0.195 0.195 0.000
0.805 0.805 0.000
0.500 0.500 0.000
0.500 0.000 0.500
0.000 0.500 0.500
0.252 0.752 0.500
0.269 0.253 0.521
0.269 0.747 0.016
0.731 0.253 0.984
0.731 0.747 0.479
0.748 0.248 0.500
```

Output
The volume comes out at 158.1 Å³ per cell.

---

Entry ii
Ba2MgCrMoO6: relaxed, GGA+U.

The structure in POSCAR format:
```
Ba2MgCrMoO6
1.0
5.236 -3.026 0.000
5.236 3.026 0.000
-3.410 0.000 5.704
Ba Mg Cr Mo O
2 1 1 1 6
direct
0.000 0.000 0.000
0.581 0.581 0.737
0.372 0.372 0.114
0.200 0.200 0.592
0.783 0.783 0.345
0.011 0.547 0.102
0.027 0.027 0.595
0.030 0.551 0.602
0.547 0.011 0.102
0.550 0.550 0.113
0.551 0.030 0.602
```

Output
The volume comes out at 180.7 Å³ per cell.

---

Entry iii
Ba2MgCrMoO6: relaxed, GGA+U.

The structure in POSCAR format:
```
Ba2MgCrMoO6
1.0
5.251 -3.036 0.000
5.251 3.036 0.000
-3.447 0.000 5.616
Ba Mg Cr Mo O
2 1 1 1 6
direct
0.000 0.000 0.000
0.587 0.587 0.755
0.208 0.208 0.620
0.804 0.804 0.410
0.390 0.390 0.169
0.019 0.569 0.156
0.029 0.029 0.625
0.030 0.571 0.630
0.569 0.019 0.156
0.570 0.570 0.159
0.571 0.030 0.630
```

Output
The volume comes out at 179.1 Å³ per cell.

---

Name the most stable of them. entry ii.

---

Entry i
BaMg6CrO8: relaxed, GGA+U.

The structure in POSCAR format:
```
BaMg6CrO8
1.0
4.709 0.000 0.000
0.000 4.709 0.000
0.000 0.000 8.750
Ba Mg Cr O
1 6 1 8
direct
0.000 0.000 0.000
0.000 0.000 0.500
0.000 0.500 0.264
0.000 0.500 0.736
0.500 0.000 0.264
0.500 0.000 0.736
0.500 0.500 0.500
0.500 0.500 0.000
0.000 0.000 0.283
0.000 0.000 0.717
0.000 0.500 0.000
0.000 0.500 0.500
0.500 0.000 0.000
0.500 0.000 0.500
0.500 0.500 0.253
0.500 0.500 0.747
```

Output
The volume comes out at 194.1 Å³ per cell.

---

Entry ii
BaMg6CrO8: relaxed, GGA+U.

The structure in POSCAR format:
```
BaMg6CrO8
1.0
4.687 0.000 0.000
0.000 4.687 0.000
0.000 0.000 8.863
Ba Mg Cr O
1 6 1 8
direct
0.000 0.000 0.000
0.000 0.500 0.265
0.000 0.500 0.735
0.500 0.000 0.265
0.500 0.000 0.735
0.500 0.500 0.000
0.500 0.500 0.500
0.000 0.000 0.500
0.000 0.000 0.279
0.000 0.000 0.721
0.000 0.500 0.000
0.000 0.500 0.500
0.500 0.000 0.000
0.500 0.000 0.500
0.500 0.500 0.253
0.500 0.500 0.747
```

Output
The volume comes out at 194.7 Å³ per cell.

---

Name the most stable of them. entry i.